! Li6MnV3P6O24 (PBE with a Hubbard U, relaxed); values from VASP
! - volume (Å³ per atom) = 11.95
! - raw total energy (Ha/atom) = -0.258
! - energy above the lowest structure with this stoichiometry (meV per atom) = 48.5
! - SG = No. 1
! - ΔH_f (0 K) (meV per atom) = -2638
! - spin magnetization (μB per atom) = 0.225
&SYSTEM
  ibrav = 0, nat = 80, ntyp = 5
/
ATOMIC_SPECIES
O 16.00 O.upf
Li 6.94 Li.upf
V 50.94 V.upf
P 30.97 P.upf
Mn 54.94 Mn.upf
ATOMIC_POSITIONS crystal
O 0.393 0.607 0.026
Li 0.856 0.267 0.947
O 0.123 0.335 0.108
O 0.389 0.170 0.376
Li 0.050 0.150 0.728
O 0.294 0.307 0.908
V 0.964 0.534 0.748
Li 0.266 0.929 0.867
O 0.887 0.884 0.668
V 0.524 0.745 0.967
P 0.668 0.050 0.860
Mn 0.755 0.978 0.529
O 0.619 0.610 0.829
P 0.142 0.330 0.948
O 0.594 0.194 0.204
O 0.113 0.121 0.330
O 0.799 0.412 0.809
V 0.748 0.753 0.749
P 0.845 0.677 0.047
O 0.446 0.590 0.275
Li 0.576 0.234 0.635
P 0.170 0.354 0.551
Li 0.236 0.640 0.557
O 0.090 0.939 0.790
O 0.114 0.910 0.536
O 0.383 0.384 0.163
O 0.961 0.591 0.390
O 0.095 0.470 0.883
O 0.557 0.407 0.712
O 0.921 0.299 0.291
O 0.208 0.916 0.065
P 0.326 0.952 0.148
O 0.698 0.586 0.406
O 0.419 0.810 0.798
Li 0.549 0.483 0.503
V 0.250 0.252 0.248
Mn 0.469 0.248 0.029
O 0.695 0.093 0.709
Li 0.653 0.538 0.228
O 0.310 0.916 0.305
O 0.388 0.974 0.602
O 0.084 0.701 0.685
O 0.410 0.722 0.556
O 0.281 0.444 0.594
P 0.824 0.651 0.450
P 0.645 0.450 0.825
O 0.913 0.800 0.092
P 0.951 0.148 0.326
O 0.827 0.623 0.613
P 0.552 0.179 0.356
O 0.663 0.889 0.879
V 0.028 0.469 0.250
V 0.253 0.039 0.465
O 0.588 0.294 0.443
O 0.776 0.093 0.953
O 0.164 0.376 0.392
O 0.598 0.383 0.965
P 0.048 0.857 0.672
O 0.876 0.671 0.887
O 0.888 0.110 0.470
O 0.031 0.392 0.622
Li 0.016 0.953 0.998
O 0.687 0.684 0.076
P 0.454 0.835 0.643
P 0.352 0.546 0.168
O 0.615 0.038 0.407
O 0.338 0.114 0.123
Li 0.352 0.445 0.771
O 0.200 0.573 0.201
O 0.891 0.540 0.117
O 0.195 0.198 0.588
O 0.524 0.112 0.903
O 0.050 0.218 0.907
Li 0.732 0.050 0.148
Li 0.955 0.855 0.267
O 0.462 0.883 0.102
Li 0.453 0.764 0.354
O 0.907 0.051 0.222
O 0.616 0.840 0.618
O 0.825 0.806 0.416
CELL_PARAMETERS angstrom
-1.686 6.452 -7.240
2.686 -6.441 -6.949
-9.270 -3.172 -1.380